## Re2S2O13 (GGA-PBE)

Data for a relaxed structure of Re2S2O13.

Crystal system = orthorhombic
Formation energy = -1.8524 eV/atom
ΔE to the lowest computed polymorph = 0.000 eV per atom
Maximum piezoelectric response = 0.50 C/m2

a b c (Å): 6.0589 8.4604 9.7897
angles (deg): 90.00 90.00 90.00
Positions (direct):
Re: 0.9643 0.1858 0.5995
Re: 0.9643 0.8142 0.4005
Re: 0.9643 0.6858 0.9005
Re: 0.9643 0.3142 0.0995
S: 0.2903 0.3727 0.8163
S: 0.2903 0.6273 0.1837
S: 0.2903 0.8727 0.6837
S: 0.2903 0.1273 0.3163
O: 0.1548 0.3503 0.6787
O: 0.1548 0.6497 0.3213
O: 0.1548 0.8503 0.8213
O: 0.1548 0.1497 0.1787
O: 0.1732 0.2723 0.9192
O: 0.1732 0.7277 0.0808
O: 0.1732 0.7723 0.5808
O: 0.1732 0.2277 0.4192
O: 0.2593 0.5441 0.8487
O: 0.2593 0.4559 0.1513
O: 0.2593 0.0441 0.6513
O: 0.2593 0.9559 0.3487
O: 0.5160 0.3337 0.7954
O: 0.5160 0.6663 0.2046
O: 0.5160 0.8337 0.7046
O: 0.5160 0.1663 0.2954
O: 0.8902 0.0000 0.5000
O: 0.8902 0.5000 0.0000
O: 0.8494 0.1235 0.7491
O: 0.8494 0.8765 0.2509
O: 0.8494 0.6235 0.7509
O: 0.8494 0.3765 0.2491
O: 0.7726 0.3132 0.5338
O: 0.7726 0.6868 0.4662
O: 0.7726 0.8132 0.9662
O: 0.7726 0.1868 0.0338